Entry from the Materials Project database: a relaxed structure of Sm3S4 (r2SCAN).

Values from the calculation:
volume	151.90	Å³/f.u.
formation energy from the elements	-2.3071	eV per atom

Geometry as CIF:
```
data_Sm3S4
_symmetry_space_group_name_H-M 'I -4 3 d'
_symmetry_Int_Tables_number 220
_symmetry_space_group_name_Hall 'I -4bd 2c 3'
_cell_length_a 8.470
_cell_length_b 8.470
_cell_length_c 8.470
_cell_angle_alpha 90.00
_cell_angle_beta 90.00
_cell_angle_gamma 90.00
loop_
_atom_site_label
_atom_site_fract_x
_atom_site_fract_y
_atom_site_fract_z
Sm1 0.000 0.250 0.875
S1 0.073 0.427 0.573
```